1.
The following is a DFT calculation (GGA-PBE) of NaI3O8 after structural relaxation. Values from VASP.

```
&SYSTEM
  ibrav = 0, nat = 24, ntyp = 3
/
ATOMIC_SPECIES
I 126.90 I.upf
O 16.00 O.upf
Na 22.99 Na.upf
CELL_PARAMETERS angstrom
-6.107 -4.938 -2.397
-2.102 -1.208 7.845
-3.663 4.658 -0.264
ATOMIC_POSITIONS crystal
I 0.727 0.750 0.115
I 0.750 0.273 0.885
I 0.273 0.250 0.115
I 0.250 0.727 0.885
I 0.500 0.000 0.613
I 0.000 0.500 0.387
O 0.727 0.490 0.842
O 0.765 0.591 0.357
O 0.409 0.765 0.643
O 0.946 0.331 0.196
O 0.669 0.946 0.804
O 0.331 0.054 0.804
O 0.766 0.930 0.284
O 0.235 0.409 0.357
O 0.070 0.766 0.716
O 0.273 0.510 0.842
O 0.490 0.273 0.158
O 0.054 0.669 0.196
O 0.591 0.235 0.643
O 0.930 0.234 0.716
O 0.510 0.727 0.158
O 0.234 0.070 0.284
Na 0.000 0.000 0.500
Na 0.500 0.500 0.500
```

density: 4.41 Mg/m³
VASP energy: -104.40 eV/cell
energy of formation: -1179 kJ/mol of formula units
space-group type: No. 81


2.
The following is a DFT calculation (GGA-PBE) of V3Rh5 after structural relaxation. Values from VASP.

```
&SYSTEM
  ibrav = 0, nat = 8, ntyp = 2
/
ATOMIC_SPECIES
Rh 102.91 Rh.upf
V 50.94 V.upf
CELL_PARAMETERS angstrom
2.723 -4.682 0.000
2.723 4.682 0.000
0.000 0.000 4.327
ATOMIC_POSITIONS crystal
Rh 0.411 0.089 0.000
Rh 0.090 0.409 0.500
Rh 0.911 0.589 0.000
Rh 0.417 0.583 0.000
Rh 0.591 0.910 0.500
V 0.911 0.089 0.000
V 0.582 0.418 0.500
V 0.086 0.914 0.500
```

density: 10.05 Mg/m³
VASP energy: -66.95 eV/cell
energy of formation: -278 kJ/mol of formula units
space-group type: No. 38


3.
The following is a DFT calculation (GGA-PBE) of Tm2SeO2 after structural relaxation. Values from VASP.

```
&SYSTEM
  ibrav = 0, nat = 5, ntyp = 3
/
ATOMIC_SPECIES
Se 78.96 Se.upf
Tm 168.93 Tm.upf
O 16.00 O.upf
CELL_PARAMETERS angstrom
1.892 -3.277 0.000
1.892 3.277 0.000
0.000 0.000 6.754
ATOMIC_POSITIONS crystal
Se 0.000 0.000 0.500
Tm 0.667 0.333 0.208
Tm 0.333 0.667 0.792
O 0.333 0.667 0.126
O 0.667 0.333 0.874
```

density: 8.90 Mg/m³
VASP energy: -38.10 eV/cell
energy of formation: -1653 kJ/mol of formula units
space-group type: No. 164


4.
The following is a DFT calculation (GGA-PBE) of CaFe2S4 after structural relaxation. Values from VASP.

```
&SYSTEM
  ibrav = 0, nat = 14, ntyp = 3
/
ATOMIC_SPECIES
S 32.06 S.upf
Fe 55.84 Fe.upf
Ca 40.08 Ca.upf
CELL_PARAMETERS angstrom
-3.424 3.630 4.944
3.424 -3.630 4.944
3.424 3.630 -4.944
ATOMIC_POSITIONS crystal
S 0.693 0.728 0.965
S 0.737 0.272 0.465
S 0.307 0.272 0.035
S 0.737 0.278 0.042
S 0.737 0.695 0.458
S 0.263 0.728 0.535
S 0.263 0.305 0.542
S 0.263 0.722 0.958
Fe 0.500 0.000 0.000
Fe 0.500 0.500 0.500
Fe 0.000 0.500 0.500
Fe 0.500 0.500 0.000
Ca 0.000 0.000 0.000
Ca 0.500 0.000 0.500
```

density: 3.78 Mg/m³
polymorph energy (0 for the lowest one): 0 meV per atom
total magnetic moment: 1.998 μB/f.u.
VASP energy: -80.99 eV/cell
energy of formation: -677 kJ/mol of formula units
space-group type: No. 74


5.
The following is a DFT calculation (GGA-PBE) of Li2SeO7 after structural relaxation. Values from VASP.

```
&SYSTEM
  ibrav = 0, nat = 40, ntyp = 3
/
ATOMIC_SPECIES
Li 6.94 Li.upf
O 16.00 O.upf
Se 78.96 Se.upf
CELL_PARAMETERS angstrom
-6.712 0.000 0.000
0.000 0.000 -6.666
0.000 -12.391 0.000
ATOMIC_POSITIONS crystal
Li 0.509 0.831 0.889
Li 0.491 0.331 0.389
Li 0.009 0.331 0.611
Li 0.009 0.169 0.889
Li 0.991 0.669 0.389
Li 0.509 0.669 0.611
Li 0.491 0.169 0.111
Li 0.991 0.831 0.111
O 0.765 0.036 0.097
O 0.135 0.912 0.309
O 0.865 0.412 0.809
O 0.865 0.088 0.691
O 0.842 0.867 0.498
O 0.365 0.588 0.809
O 0.635 0.088 0.309
O 0.342 0.367 0.002
O 0.135 0.588 0.191
O 0.250 0.838 0.000
O 0.750 0.338 0.500
O 0.658 0.633 0.998
O 0.635 0.412 0.191
O 0.735 0.036 0.903
O 0.158 0.133 0.502
O 0.658 0.867 0.502
O 0.158 0.367 0.998
O 0.750 0.162 0.000
O 0.735 0.464 0.597
O 0.765 0.464 0.403
O 0.235 0.536 0.597
O 0.265 0.536 0.403
O 0.265 0.964 0.097
O 0.365 0.912 0.691
O 0.235 0.964 0.903
O 0.842 0.633 0.002
O 0.250 0.662 0.500
O 0.342 0.133 0.498
Se 0.709 0.250 0.750
Se 0.791 0.250 0.250
Se 0.291 0.750 0.250
Se 0.209 0.750 0.750
```

density: 2.45 Mg/m³
total magnetic moment: 2.000 μB/f.u.
VASP energy: -194.57 eV/cell
energy of formation: -646 kJ/mol of formula units
space-group type: No. 52


6.
The following is a DFT calculation (GGA-PBE) of LiZn2B5H20 after structural relaxation. Values from VASP.

```
&SYSTEM
  ibrav = 0, nat = 112, ntyp = 4
/
ATOMIC_SPECIES
H 1.01 H.upf
Zn 65.41 Zn.upf
Li 6.94 Li.upf
B 10.81 B.upf
CELL_PARAMETERS angstrom
-4.139 2.036 7.454
-5.773 -2.360 -7.715
0.385 -15.328 4.401
ATOMIC_POSITIONS crystal
H 0.809 0.859 0.211
H 0.282 0.564 0.402
H 0.404 0.567 0.296
H 0.905 0.139 0.388
H 0.588 0.176 0.857
H 0.570 0.658 0.938
H 0.912 0.342 0.062
H 0.772 0.847 0.961
H 0.550 0.859 0.289
H 0.309 0.859 0.289
H 0.088 0.176 0.643
H 0.535 0.747 0.660
H 0.025 0.286 0.560
H 0.412 0.342 0.438
H 0.262 0.286 0.560
H 0.191 0.141 0.789
H 0.782 0.564 0.098
H 0.728 0.153 0.461
H 0.837 0.433 0.704
H 0.525 0.286 0.940
H 0.521 0.041 0.269
H 0.088 0.658 0.938
H 0.050 0.859 0.211
H 0.021 0.041 0.231
H 0.925 0.153 0.039
H 0.425 0.153 0.461
H 0.950 0.141 0.789
H 0.596 0.433 0.704
H 0.234 0.139 0.388
H 0.904 0.567 0.204
H 0.450 0.141 0.711
H 0.293 0.585 0.136
H 0.713 0.747 0.840
H 0.218 0.436 0.902
H 0.707 0.415 0.864
H 0.930 0.342 0.438
H 0.287 0.253 0.160
H 0.035 0.747 0.840
H 0.163 0.567 0.296
H 0.405 0.139 0.112
H 0.096 0.433 0.796
H 0.766 0.861 0.612
H 0.595 0.861 0.888
H 0.037 0.073 0.886
H 0.807 0.614 0.683
H 0.307 0.614 0.817
H 0.965 0.253 0.160
H 0.588 0.658 0.562
H 0.537 0.073 0.614
H 0.070 0.658 0.562
H 0.787 0.253 0.340
H 0.272 0.847 0.539
H 0.412 0.824 0.143
H 0.575 0.847 0.539
H 0.691 0.141 0.711
H 0.095 0.861 0.612
H 0.075 0.847 0.961
H 0.975 0.714 0.440
H 0.228 0.153 0.039
H 0.979 0.959 0.769
H 0.738 0.714 0.440
H 0.430 0.342 0.062
H 0.963 0.927 0.114
H 0.337 0.433 0.796
H 0.762 0.286 0.940
H 0.479 0.959 0.731
H 0.734 0.139 0.112
H 0.238 0.714 0.060
H 0.693 0.386 0.183
H 0.213 0.747 0.660
H 0.463 0.927 0.386
H 0.193 0.386 0.317
H 0.793 0.585 0.364
H 0.465 0.253 0.340
H 0.718 0.436 0.598
H 0.912 0.824 0.357
H 0.663 0.567 0.204
H 0.266 0.861 0.888
H 0.475 0.714 0.060
H 0.207 0.415 0.636
Zn 0.429 0.859 0.621
Zn 0.350 0.699 0.236
Zn 0.850 0.699 0.264
Zn 0.150 0.301 0.736
Zn 0.650 0.301 0.764
Zn 0.571 0.141 0.379
Zn 0.071 0.141 0.121
Zn 0.929 0.859 0.879
Li 0.650 0.299 0.060
Li 0.850 0.701 0.560
Li 0.350 0.701 0.940
Li 0.150 0.299 0.440
B 0.854 0.708 0.401
B 0.881 0.221 0.093
B 0.461 0.922 0.308
B 0.740 0.479 0.670
B 0.760 0.521 0.170
B 0.159 0.779 0.593
B 0.341 0.221 0.093
B 0.659 0.779 0.907
B 0.539 0.078 0.692
B 0.260 0.521 0.330
B 0.841 0.221 0.407
B 0.146 0.292 0.599
B 0.381 0.221 0.407
B 0.646 0.292 0.901
B 0.961 0.922 0.192
B 0.039 0.078 0.808
B 0.119 0.779 0.907
B 0.240 0.479 0.830
B 0.619 0.779 0.593
B 0.354 0.708 0.099
```

density: 1.13 Mg/m³
polymorph energy (0 for the lowest one): 0 meV per atom
VASP energy: -434.49 eV/cell
energy of formation: -629 kJ/mol of formula units
space-group type: No. 64


7.
The following is a DFT calculation (GGA-PBE) of CsCaP3H2O10 after structural relaxation. Values from VASP.

```
&SYSTEM
  ibrav = 0, nat = 68, ntyp = 5
/
ATOMIC_SPECIES
P 30.97 P.upf
O 16.00 O.upf
Ca 40.08 Ca.upf
H 1.01 H.upf
Cs 132.91 Cs.upf
CELL_PARAMETERS angstrom
8.564 -0.654 3.381
-2.314 -5.961 -7.851
3.789 8.900 -7.875
ATOMIC_POSITIONS crystal
P 0.680 0.865 0.113
P 0.680 0.365 0.387
P 0.260 0.848 0.483
P 0.102 0.338 0.519
P 0.102 0.838 0.981
P 0.320 0.635 0.613
P 0.898 0.162 0.019
P 0.898 0.662 0.481
P 0.260 0.348 0.017
P 0.320 0.135 0.887
P 0.740 0.652 0.983
P 0.740 0.152 0.517
O 0.751 0.013 0.486
O 0.156 0.005 0.938
O 0.534 0.347 0.450
O 0.685 0.886 0.231
O 0.315 0.114 0.769
O 0.182 0.763 0.917
O 0.424 0.060 0.199
O 0.534 0.847 0.050
O 0.281 0.275 0.907
O 0.619 0.646 0.899
O 0.085 0.228 0.062
O 0.751 0.513 0.014
O 0.249 0.487 0.986
O 0.576 0.440 0.699
O 0.915 0.272 0.562
O 0.576 0.940 0.801
O 0.619 0.146 0.601
O 0.915 0.772 0.938
O 0.113 0.839 0.101
O 0.719 0.725 0.093
O 0.085 0.728 0.438
O 0.249 0.987 0.514
O 0.182 0.263 0.583
O 0.844 0.495 0.438
O 0.113 0.339 0.399
O 0.156 0.505 0.562
O 0.424 0.560 0.301
O 0.887 0.661 0.601
O 0.381 0.854 0.399
O 0.315 0.614 0.731
O 0.685 0.386 0.269
O 0.818 0.737 0.417
O 0.844 0.995 0.062
O 0.818 0.237 0.083
O 0.466 0.153 0.950
O 0.381 0.354 0.101
O 0.466 0.653 0.550
O 0.887 0.161 0.899
O 0.719 0.225 0.407
O 0.281 0.775 0.593
Ca 0.598 0.288 0.102
Ca 0.402 0.212 0.602
Ca 0.402 0.712 0.898
Ca 0.598 0.788 0.398
H 0.555 0.485 0.763
H 0.357 0.977 0.152
H 0.445 0.015 0.263
H 0.555 0.985 0.737
H 0.643 0.523 0.652
H 0.357 0.477 0.348
H 0.643 0.023 0.848
H 0.445 0.515 0.237
Cs 0.923 0.953 0.709
Cs 0.077 0.547 0.209
Cs 0.923 0.453 0.791
Cs 0.077 0.047 0.291
```

density: 2.74 Mg/m³
total magnetic moment: 0.000 μB/f.u.
VASP energy: -450.91 eV/cell
energy of formation: -4264 kJ/mol of formula units
space-group type: No. 14


8.
The following is a DFT calculation (GGA-PBE) of UB4Os after structural relaxation. Values from VASP.

```
&SYSTEM
  ibrav = 0, nat = 12, ntyp = 3
/
ATOMIC_SPECIES
B 10.81 B.upf
Os 190.23 Os.upf
U 238.03 U.upf
CELL_PARAMETERS angstrom
0.000 0.000 -3.542
-3.671 -4.703 0.000
-3.671 4.703 0.000
ATOMIC_POSITIONS crystal
B 0.500 0.907 0.093
B 0.500 0.093 0.907
B 0.500 0.620 0.620
B 0.500 0.936 0.616
B 0.500 0.380 0.380
B 0.500 0.064 0.384
B 0.500 0.384 0.064
B 0.500 0.616 0.936
Os 0.000 0.811 0.811
Os 0.000 0.189 0.189
U 0.000 0.700 0.300
U 0.000 0.300 0.700
```

density: 12.80 Mg/m³
VASP energy: -104.37 eV/cell
energy of formation: -285 kJ/mol of formula units
space-group type: No. 65


9.
The following is a DFT calculation (GGA-PBE) of K4CaU3O12 after structural relaxation. Values from VASP.

```
&SYSTEM
  ibrav = 0, nat = 20, ntyp = 4
/
ATOMIC_SPECIES
O 16.00 O.upf
K 39.10 K.upf
Ca 40.08 Ca.upf
U 238.03 U.upf
CELL_PARAMETERS angstrom
-3.401 -1.071 6.614
2.577 7.048 -0.379
-4.914 -1.172 -5.562
ATOMIC_POSITIONS crystal
O 0.273 0.000 0.273
O 0.750 0.500 0.250
O 0.000 0.273 0.273
O 0.250 0.500 0.750
O 0.273 0.273 0.000
O 0.000 0.727 0.727
O 0.250 0.750 0.500
O 0.500 0.750 0.250
O 0.727 0.727 0.000
O 0.727 0.000 0.727
O 0.750 0.250 0.500
O 0.500 0.250 0.750
K 0.500 0.000 0.000
K 0.000 0.000 0.500
K 0.500 0.500 0.500
K 0.000 0.500 0.000
Ca 0.000 0.000 0.000
U 0.000 0.500 0.500
U 0.500 0.000 0.500
U 0.500 0.500 0.000
```

density: 5.61 Mg/m³
total magnetic moment: 0.000 μB/f.u.
VASP energy: -157.01 eV/cell
energy of formation: -6325 kJ/mol of formula units
space-group type: No. 229


10.
The following is a DFT calculation (GGA-PBE) of CuMoS4N after structural relaxation. Values from VASP.

```
&SYSTEM
  ibrav = 0, nat = 7, ntyp = 4
/
ATOMIC_SPECIES
S 32.06 S.upf
Cu 63.55 Cu.upf
Mo 95.94 Mo.upf
N 14.01 N.upf
CELL_PARAMETERS angstrom
-4.120 4.120 2.735
4.120 -4.120 2.735
4.120 4.120 -2.735
ATOMIC_POSITIONS crystal
S 0.949 0.652 0.080
S 0.132 0.051 0.703
S 0.571 0.868 0.920
S 0.348 0.429 0.297
Cu 0.500 0.500 0.000
Mo 0.000 0.000 0.000
N 0.750 0.250 0.500
```

density: 2.70 Mg/m³
total magnetic moment: 0.624 μB/f.u.
VASP energy: -35.22 eV/cell
energy of formation: 215 kJ/mol of formula units
space-group type: No. 82


11.
The following is a DFT calculation (GGA-PBE) of SnS2O6F2 after structural relaxation. Values from VASP.

```
&SYSTEM
  ibrav = 0, nat = 44, ntyp = 4
/
ATOMIC_SPECIES
S 32.06 S.upf
O 16.00 O.upf
F 19.00 F.upf
Sn 118.71 Sn.upf
CELL_PARAMETERS angstrom
-5.079 -7.602 -3.712
3.793 -0.685 -3.786
9.980 -8.920 4.613
ATOMIC_POSITIONS crystal
S 0.817 0.829 0.939
S 0.523 0.534 0.191
S 0.317 0.171 0.561
S 0.477 0.466 0.809
S 0.977 0.534 0.691
S 0.023 0.466 0.309
S 0.683 0.829 0.439
S 0.183 0.171 0.061
O 0.266 0.160 0.466
O 0.734 0.840 0.534
O 0.789 0.878 0.362
O 0.945 0.958 0.905
O 0.102 0.271 0.282
O 0.403 0.677 0.826
O 0.555 0.958 0.405
O 0.711 0.878 0.862
O 0.898 0.729 0.718
O 0.055 0.042 0.095
O 0.398 0.271 0.782
O 0.234 0.160 0.966
O 0.097 0.454 0.756
O 0.903 0.546 0.244
O 0.403 0.454 0.256
O 0.602 0.729 0.218
O 0.211 0.122 0.638
O 0.766 0.840 0.034
O 0.289 0.122 0.138
O 0.445 0.042 0.595
O 0.903 0.323 0.674
O 0.597 0.323 0.174
O 0.597 0.546 0.744
O 0.097 0.677 0.326
F 0.540 0.300 0.916
F 0.040 0.700 0.584
F 0.349 0.481 0.534
F 0.151 0.481 0.034
F 0.960 0.300 0.416
F 0.460 0.700 0.084
F 0.849 0.519 0.966
F 0.651 0.519 0.466
Sn 0.306 0.028 0.321
Sn 0.194 0.028 0.821
Sn 0.806 0.972 0.179
Sn 0.694 0.972 0.679
```

density: 2.97 Mg/m³
total magnetic moment: 0.000 μB/f.u.
VASP energy: -248.34 eV/cell
energy of formation: -2058 kJ/mol of formula units
space-group type: No. 14